A relaxed structure of K2CePCO7, computed with GGA-PBE.

```
K2CePCO7
1.0
5.812 0.000 0.000
0.000 7.393 0.000
-0.432 0.000 10.086
K Ce P C O
4 2 2 2 14
Cartesian
1.318 0.070 2.182 K
1.318 3.626 2.182 K
4.062 3.767 7.904 K
4.062 7.322 7.904 K
1.023 1.848 6.316 Ce
4.357 5.544 3.770 Ce
1.447 5.544 5.792 P
3.933 1.848 4.294 P
1.184 1.848 9.196 C
4.196 5.544 0.890 C
0.023 1.848 8.571 O
0.880 5.544 4.325 O
0.971 4.260 6.523 O
0.971 6.829 6.523 O
1.721 1.848 0.362 O
2.366 1.848 4.371 O
2.243 1.848 8.392 O
3.138 5.544 1.694 O
3.014 5.544 5.715 O
3.659 5.544 9.724 O
4.409 0.564 3.563 O
4.409 3.133 3.563 O
4.500 1.848 5.761 O
5.357 5.544 1.515 O
```

MP2020-corrected energy   -7.519 eV per atom
Crystal system   monoclinic
Total magnetization   1.00 μB/f.u.

=====

A relaxed structure of KCePCO7, computed with GGA-PBE.

```
KCePCO7
1.0
5.818 0.000 0.000
0.000 7.092 0.000
-0.086 0.000 10.194
K Ce P C O
2 2 2 2 14
Cartesian
1.425 0.000 2.866 K
4.308 3.546 7.327 K
1.199 1.290 8.662 Ce
4.533 4.837 1.532 Ce
1.556 4.891 9.535 P
4.176 1.345 0.659 P
1.546 1.592 5.954 C
4.186 5.138 4.240 C
0.348 1.550 6.542 O
0.790 4.982 0.648 O
1.191 3.612 8.740 O
1.266 6.141 8.663 O
1.739 1.658 4.736 O
2.539 1.545 6.865 O
2.663 1.306 0.277 O
3.069 4.853 9.916 O
3.194 5.091 3.329 O
3.993 5.204 5.458 O
4.466 2.595 1.531 O
4.541 0.066 1.454 O
4.942 1.436 9.546 O
5.385 5.096 3.652 O
```

MP2020-corrected energy   -7.890 eV per atom
Crystal system   monoclinic
Total magnetization   0.00 μB/f.u.

=====

A relaxed structure of LiCeC4O10, computed with GGA-PBE.

```
LiCeC4O10
1.0
13.522 0.000 0.000
0.000 7.676 0.000
-3.168 0.000 8.846
Li Ce C O
4 4 16 40
Cartesian
2.792 1.528 0.866 Li
1.207 6.148 5.289 Li
9.146 1.528 3.557 Li
7.562 6.148 7.980 Li
0.851 2.081 6.596 Ce
2.436 5.595 2.173 Ce
7.918 2.081 6.673 Ce
9.502 5.595 2.250 Ce
-2.384 2.126 7.409 C
-0.800 5.551 2.986 C
1.656 1.006 3.490 C
0.072 6.671 7.913 C
1.800 2.542 3.436 C
0.216 5.134 7.859 C
4.385 0.518 6.634 C
4.385 3.777 6.634 C
5.969 3.899 2.211 C
5.969 7.159 2.211 C
10.138 2.542 0.987 C
8.553 5.134 5.410 C
10.282 1.006 0.933 C
8.698 6.671 5.356 C
11.154 2.126 5.860 C
12.738 5.551 1.437 C
-1.245 2.154 5.291 O
0.339 5.522 0.868 O
-1.245 2.072 7.968 O
0.339 5.604 3.545 O
1.965 0.360 2.442 O
0.381 7.317 6.865 O
1.258 0.526 4.586 O
2.842 7.150 0.163 O
2.094 3.075 2.322 O
0.510 4.601 6.745 O
1.621 3.146 4.533 O
3.206 4.531 0.110 O
1.621 1.888 8.515 O
3.205 5.788 4.092 O
3.219 0.586 6.520 O
4.804 7.090 2.097 O
3.234 3.667 6.857 O
4.818 4.009 2.434 O
5.686 1.797 0.682 O
4.102 5.880 5.105 O
6.251 1.797 3.741 O
4.667 5.880 8.164 O
5.535 3.667 6.412 O
7.119 4.009 1.989 O
5.550 0.586 6.749 O
7.134 7.090 2.326 O
7.148 1.888 4.754 O
8.733 5.788 0.331 O
7.148 3.146 8.736 O
8.732 4.531 4.313 O
9.843 3.075 2.101 O
8.259 4.601 6.524 O
7.511 0.526 8.683 O
9.095 7.150 4.260 O
9.972 0.360 1.981 O
8.388 7.317 6.404 O
10.014 2.072 5.301 O
11.598 5.604 0.878 O
10.014 2.154 7.978 O
11.598 5.522 3.555 O
```

MP2020-corrected energy   -7.507 eV per atom
ΔE to the lowest computed polymorph   48.2 meV per atom
Crystal system   monoclinic
Total magnetization   0.00 μB/f.u.

=====

A relaxed structure of LiCeC4O10, computed with GGA-PBE.

```
LiCeC4O10
1.0
14.905 0.000 0.000
0.000 8.070 0.000
-2.718 0.000 8.751
Li Ce C O
4 4 16 40
Cartesian
2.983 1.600 0.739 Li
1.624 6.470 5.115 Li
10.563 1.600 3.636 Li
9.204 6.470 8.012 Li
1.186 2.136 6.455 Ce
2.545 5.934 2.079 Ce
9.642 2.136 6.673 Ce
11.001 5.934 2.297 Ce
-2.028 2.173 7.347 C
-0.670 5.897 2.972 C
2.147 1.108 3.430 C
0.788 6.962 7.806 C
2.291 2.660 3.398 C
0.932 5.410 7.774 C
5.414 0.787 6.564 C
5.414 3.658 6.564 C
6.773 4.412 2.188 C
6.773 7.283 2.188 C
11.254 2.660 0.978 C
9.895 5.410 5.353 C
11.398 1.108 0.946 C
10.039 6.962 5.322 C
12.856 2.173 5.780 C
14.215 5.897 1.404 C
-0.937 2.214 5.181 O
0.422 5.857 0.805 O
-0.885 2.111 7.890 O
0.474 5.959 3.514 O
2.376 0.471 2.363 O
1.017 7.599 6.738 O
1.781 0.610 4.536 O
3.140 7.460 0.160 O
2.535 3.222 2.294 O
1.176 4.848 6.670 O
2.116 3.236 4.517 O
3.475 4.834 0.141 O
1.887 1.972 8.172 O
3.246 6.098 3.796 O
4.267 0.789 6.309 O
5.626 7.281 1.934 O
4.254 3.653 6.752 O
5.613 4.417 2.376 O
6.937 1.809 1.592 O
5.578 6.261 5.967 O
6.609 1.809 2.784 O
5.250 6.261 7.160 O
6.574 3.653 6.375 O
7.933 4.417 2.000 O
6.561 0.789 6.818 O
7.920 7.281 2.442 O
8.940 1.972 4.955 O
10.299 6.098 0.579 O
8.712 3.236 8.610 O
10.071 4.834 4.235 O
11.011 3.222 2.081 O
9.652 4.848 6.457 O
9.047 0.610 8.591 O
10.406 7.460 4.215 O
11.170 0.471 2.013 O
9.811 7.599 6.389 O
11.713 2.111 5.238 O
13.072 5.959 0.862 O
11.765 2.214 7.946 O
13.124 5.857 3.571 O
```

MP2020-corrected energy   -7.555 eV per atom
ΔE to the lowest computed polymorph   0.0 meV per atom
Crystal system   monoclinic
Total magnetization   1.00 μB/f.u.

=====

A relaxed structure of LiCePCO7, computed with GGA-PBE.

```
LiCePCO7
1.0
5.227 0.000 0.000
0.000 7.000 0.000
-0.548 0.000 9.124
Li Ce P C O
2 2 2 2 14
Cartesian
1.090 0.000 2.762 Li
3.589 3.500 6.361 Li
0.688 1.633 7.687 Ce
3.991 5.133 1.437 Ce
0.947 5.147 8.392 P
3.732 1.646 0.732 P
1.130 1.817 5.012 C
3.549 5.317 4.112 C
-0.090 1.858 5.549 O
0.288 3.913 7.739 O
0.967 5.315 0.736 O
0.652 6.416 7.568 O
1.364 1.484 3.846 O
2.193 1.429 0.610 O
2.076 2.088 5.917 O
2.602 5.588 3.207 O
2.486 4.929 8.514 O
3.315 4.985 5.277 O
4.027 2.916 1.555 O
3.712 1.815 8.388 O
4.390 0.413 1.385 O
4.768 5.358 3.575 O
```

MP2020-corrected energy   -7.929 eV per atom
Crystal system   monoclinic
Total magnetization   0.00 μB/f.u.

=====

A relaxed structure of Ce6Mg23C, computed with GGA-PBE.

```
Ce6Mg23C
1.0
0.000 7.182 7.182
7.182 0.000 7.182
7.182 7.182 0.000
Ce Mg C
6 23 1
Cartesian
7.182 7.182 2.573 Ce
7.182 2.573 7.182 Ce
11.792 7.182 7.182 Ce
2.573 7.182 7.182 Ce
7.182 11.792 7.182 Ce
7.182 7.182 11.792 Ce
3.591 3.591 0.000 Mg
3.591 0.000 3.591 Mg
7.182 3.591 3.591 Mg
8.906 5.459 5.459 Mg
2.455 2.455 2.455 Mg
4.727 4.727 2.455 Mg
4.727 2.455 4.727 Mg
5.459 5.459 5.459 Mg
8.906 8.906 5.459 Mg
8.906 5.459 8.906 Mg
2.455 4.727 4.727 Mg
0.000 3.591 3.591 Mg
3.591 7.182 3.591 Mg
3.591 3.591 7.182 Mg
7.182 7.182 7.182 Mg
11.910 9.638 9.638 Mg
5.459 8.906 5.459 Mg
5.459 5.459 8.906 Mg
8.906 8.906 8.906 Mg
9.638 11.910 9.638 Mg
9.638 9.638 11.910 Mg
11.910 11.910 11.910 Mg
5.459 8.906 8.906 Mg
0.000 0.000 0.000 C
```

Crystal system   cubic

=====

A relaxed structure of CeMg14C, computed with GGA-PBE.

```
CeMg14C
1.0
6.277 0.000 0.000
-3.139 5.436 0.000
0.000 0.000 10.083
Ce Mg C
1 14 1
Cartesian
0.000 0.000 0.000 Ce
-1.486 2.766 0.000 Mg
0.000 1.713 2.789 Mg
0.000 1.713 7.294 Mg
-1.655 4.580 2.789 Mg
-1.655 4.580 7.294 Mg
1.486 2.766 0.000 Mg
0.000 5.340 0.000 Mg
3.139 0.076 5.042 Mg
1.635 2.680 5.042 Mg
3.139 1.812 2.370 Mg
3.139 1.812 7.713 Mg
1.655 4.580 2.789 Mg
1.655 4.580 7.294 Mg
4.642 2.680 5.042 Mg
0.000 0.000 5.042 C
```

ΔE to the lowest computed polymorph   121.1 meV per atom
Crystal system   hexagonal
Total magnetization   0.51 μB/f.u.

=====

A relaxed structure of CeMg14C, computed with GGA-PBE.

```
CeMg14C
1.0
10.370 0.000 0.000
0.000 2.958 5.965
0.000 -2.958 5.965
Ce Mg C
1 14 1
Cartesian
0.000 0.000 0.000 Ce
0.000 -1.381 3.145 Mg
0.000 1.381 3.145 Mg
1.541 0.000 6.985 Mg
2.638 -1.491 4.561 Mg
2.638 1.491 4.561 Mg
2.664 0.000 1.702 Mg
5.185 -1.460 8.675 Mg
5.185 0.000 5.789 Mg
5.185 1.460 8.675 Mg
5.185 0.000 11.649 Mg
7.706 0.000 1.702 Mg
7.732 -1.491 4.561 Mg
7.732 1.491 4.561 Mg
8.829 0.000 6.985 Mg
0.000 0.000 5.093 C
```

ΔE to the lowest computed polymorph   0.0 meV per atom
Crystal system   orthorhombic
Total magnetization   1.20 μB/f.u.

=====

A relaxed structure of Ce2Mn17C2, computed with GGA-PBE.

```
Ce2Mn17C2
1.0
4.754 -4.316 0.000
4.754 4.316 0.000
-0.961 0.000 6.354
Ce Mn C
2 17 2
Cartesian
1.044 0.000 2.166 Ce
7.504 0.000 4.188 Ce
2.377 2.158 0.000 Mn
0.597 0.000 5.499 Mn
3.477 2.064 2.162 Mn
2.718 1.183 4.581 Mn
4.754 2.337 0.000 Mn
5.071 2.064 4.192 Mn
3.743 0.000 0.618 Mn
2.718 -1.183 4.581 Mn
2.377 -2.158 0.000 Mn
4.274 0.000 3.177 Mn
5.830 1.183 1.772 Mn
4.804 0.000 5.735 Mn
3.477 -2.064 2.162 Mn
4.754 -2.337 0.000 Mn
5.830 -1.183 1.772 Mn
5.071 -2.064 4.192 Mn
7.950 0.000 0.855 Mn
1.897 2.158 3.177 C
1.897 -2.158 3.177 C
```

Crystal system   monoclinic
Total magnetization   5.63 μB/f.u.

=====

A relaxed structure of Ce2Mn22C3, computed with GGA-PBE.

```
Ce2Mn22C3
1.0
6.009 -4.944 0.000
6.009 4.944 0.000
-3.525 0.000 5.492
Ce Mn C
2 22 3
Cartesian
1.696 0.000 2.013 Ce
6.797 0.000 3.478 Ce
-1.763 0.000 2.746 Mn
3.005 2.472 0.000 Mn
4.940 3.746 0.790 Mn
3.019 2.942 2.378 Mn
3.553 3.746 4.702 Mn
1.676 2.061 4.522 Mn
-0.047 0.000 4.788 Mn
4.535 1.288 1.420 Mn
5.474 2.942 3.113 Mn
6.817 2.061 0.970 Mn
3.958 1.288 4.071 Mn
3.005 -2.472 0.000 Mn
6.009 0.000 0.000 Mn
4.535 -1.288 1.420 Mn
1.676 -2.061 4.522 Mn
3.019 -2.942 2.378 Mn
3.958 -1.288 4.071 Mn
8.540 0.000 0.703 Mn
6.817 -2.061 0.970 Mn
4.940 -3.746 0.790 Mn
5.474 -2.942 3.113 Mn
3.553 -3.746 4.702 Mn
1.242 2.472 2.746 C
1.242 -2.472 2.746 C
4.247 0.000 2.746 C
```

Crystal system   monoclinic
Total magnetization   3.83 μB/f.u.

=====

A relaxed structure of CeSi2Mo2C, computed with GGA-PBE.

```
CeSi2Mo2C
1.0
4.222 0.000 0.000
0.000 4.222 0.000
0.000 0.000 5.351
Ce Si Mo C
1 2 2 1
Cartesian
0.000 0.000 0.000 Ce
2.111 2.111 1.173 Si
2.111 2.111 4.178 Si
0.000 2.111 2.676 Mo
2.111 0.000 2.676 Mo
0.000 0.000 2.676 C
```

Crystal system   tetragonal

=====

A relaxed structure of CeThCN, computed with GGA-PBE.

```
CeThCN
1.0
3.703 0.000 0.000
0.000 3.703 0.000
0.000 0.000 5.175
Ce Th C N
1 1 1 1
Cartesian
0.000 0.000 0.000 Ce
1.852 1.852 2.588 Th
0.000 0.000 2.588 C
1.852 1.852 0.000 N
```

MP2020-corrected energy   -8.679 eV per atom
Crystal system   tetragonal
Total magnetization   0.22 μB/f.u.

=====

The calculation returns the following formation energy values, one per record and in order: -2.73, -2.77, -1.62, -1.66, -2.74, -0.04, 0.33, 0.21, -0.05, -0.06, -0.51, -0.95 eV per atom.
The calculation returns the following calculated volume values, one per record and in order: 18.1, 19.1, 14.3, 16.4, 15.2, 24.7, 21.5, 22.9, 12.4, 12.1, 15.9, 17.7 A^3/atom.